K4SiO4 | PBE | optimized geometry

```
36
Lattice="10.478 0.000 0.000 0.000 6.516 0.000 -3.951 0.000 9.698" Properties=species:S:1:pos:R:3 pbc="T T T"
K -0.139 0.609 1.886
K -2.114 2.650 6.735
K 1.308 3.978 0.842
K -0.668 5.796 5.691
K 0.320 4.314 8.633
K 2.296 5.461 3.784
K 1.324 1.200 7.726
K 3.299 2.058 2.877
K 3.227 4.458 6.821
K 5.203 5.316 1.972
K 4.231 1.056 5.913
K 6.206 2.202 1.065
K 7.194 0.720 4.007
K 5.219 2.538 8.855
K 8.641 3.867 2.963
K 6.665 5.908 7.812
Si -1.374 0.857 9.611
Si 0.602 2.401 4.763
Si 5.925 4.115 4.935
Si 7.900 5.659 0.086
O -2.872 1.558 9.397
O -0.896 1.700 4.548
O 0.961 3.271 3.383
O -1.014 6.504 8.232
O 0.618 3.401 6.112
O 2.593 6.373 1.263
O 1.734 1.188 5.001
O 3.710 2.070 0.152
O 2.816 4.446 9.546
O 4.792 5.328 4.697
O 3.933 0.143 8.435
O 5.909 3.115 3.586
O 7.541 0.013 1.465
O 5.565 3.246 6.314
O 7.422 4.816 5.150
O 9.398 4.958 0.301
```

Values from the calculation:
uncorrected energy	-191.26	eV/cell
ΔE_f	-2323	meV per atom
space-group type	P2_1/c (14)